[1]
This record from the Materials Project database describes crystalline Li4Ni2OF7 at its relaxed geometry. The functional is PBE+U.

a b c (Å): 5.9627 5.9627 10.2683
angles (deg): 91.31 105.66 119.71
Positions (direct):
Li 0.4810 0.7548 0.2360
Li 0.8889 0.6849 0.5740
Li 0.4811 0.2548 0.7360
Li 0.1136 0.3199 0.4334
Li 0.5017 0.9968 0.4986
Li 0.8889 0.1851 0.0740
Li 0.5017 0.4968 0.9986
Li 0.1136 0.8198 0.9334
Ni 0.5048 0.2606 0.2540
Ni 0.9934 0.2491 0.7539
Ni 0.5048 0.7606 0.7539
Ni 0.9933 0.7494 0.2539
O 0.7694 0.1009 0.8704
O 0.7694 0.6011 0.3703
F 0.2810 0.8861 0.6328
F 0.2537 0.6177 0.8715
F 0.2547 0.6460 0.3647
F 0.7441 0.3833 0.1272
F 0.7466 0.3517 0.6328
F 0.2549 0.1458 0.8648
F 0.2482 0.3877 0.6359
F 0.7464 0.8519 0.1327
F 0.2809 0.3862 0.1328
F 0.7189 0.6099 0.8648
F 0.7441 0.8831 0.6272
F 0.2482 0.8878 0.1358
F 0.7189 0.1099 0.3648
F 0.2537 0.1180 0.3715

## Properties
E (eV/atom): -4.615
Total magnetization (μB per formula unit): 0.000

[2]
This record from the Materials Project database describes crystalline KCaYWO6 at its relaxed geometry. The functional is PBE+U.

a b c (Å): 5.9042 5.9042 5.9042
angles (deg): 60.00 60.00 60.00
Positions (direct):
O 0.7667 0.2333 0.2333
O 0.7667 0.7667 0.2333
O 0.2333 0.7667 0.2333
O 0.2333 0.7667 0.7667
O 0.2333 0.2333 0.7667
O 0.7667 0.2333 0.7667
Ca 0.2500 0.2500 0.2500
W 0.0000 0.0000 0.0000
K 0.7500 0.7500 0.7500
Y 0.5000 0.5000 0.5000

## Properties
SG: F-43m
E (eV/atom): -7.237
Total magnetization (μB per formula unit): 0.000

[3]
This record from the Materials Project database describes crystalline Ba2HoCoCu2O7 at its relaxed geometry. The functional is PBE+U.

a b c (Å): 3.8493 3.9132 11.8216
angles (deg): 90.00 90.00 90.00
Positions (direct):
Ba 0.5000 0.5000 0.8156
Ba 0.5000 0.5000 0.1844
O 0.5000 0.0000 0.3793
O 0.5000 0.0000 0.6207
O 0.0000 0.5000 0.3792
O 0.0000 0.5000 0.6208
O 0.0000 0.0000 0.1531
O 0.0000 0.0000 0.8469
O 0.0000 0.5000 0.0000
Ho 0.5000 0.5000 0.5000
Cu 0.0000 0.0000 0.6405
Cu 0.0000 0.0000 0.3595
Co 0.0000 0.0000 0.0000

## Properties
SG: Pmmm
E (eV/atom): -6.224
Total magnetization (μB per formula unit): 2.237

[4]
This record from the Materials Project database describes crystalline Li3MnPCO7 at its relaxed geometry. The functional is PBE+U.

a b c (Å): 6.5742 8.5793 9.9893
angles (deg): 94.61 90.26 90.50
Positions (direct):
O 0.2506 0.4199 0.7953
O 0.4340 0.3107 0.5827
O 0.9371 0.6893 0.4121
O 0.7503 0.1439 0.7457
O 0.7504 0.0672 0.0248
O 0.2435 0.9302 0.9762
O 0.2499 0.1105 0.8224
O 0.7497 0.0682 0.5260
O 0.0649 0.3100 0.5816
O 0.7487 0.4226 0.4101
O 0.5704 0.6898 0.9166
O 0.9397 0.6876 0.9153
O 0.2498 0.8540 0.7555
O 0.7490 0.8904 0.1816
O 0.7471 0.1480 0.2449
O 0.2348 0.8506 0.2538
O 0.5677 0.6891 0.4151
O 0.2522 0.9304 0.4726
O 0.7499 0.4207 0.9052
O 0.7508 0.8874 0.6791
O 0.2510 0.5786 0.5966
O 0.0607 0.3128 0.0866
O 0.2498 0.5795 0.0929
O 0.4378 0.3157 0.0863
O 0.2491 0.1085 0.3170
O 0.2502 0.4232 0.2959
O 0.7500 0.5793 0.7039
O 0.7503 0.5744 0.2036
Li 0.2526 0.1048 0.1134
Li 0.4840 0.2755 0.8899
Li 0.4799 0.2759 0.3682
Li 0.0195 0.2761 0.3679
Li 0.5269 0.7208 0.1225
Li 0.7487 0.3374 0.1052
Li 0.0150 0.2748 0.8897
Li 0.7435 0.9104 0.3820
Li 0.2510 0.0956 0.6187
Li 0.5343 0.7265 0.6227
Li 0.7448 0.9100 0.8795
Li 0.9681 0.7274 0.6232
Mn 0.2537 0.6528 0.3948
Mn 0.2578 0.6552 0.8773
Mn 0.9892 0.7304 0.1340
Mn 0.7501 0.3394 0.6136
C 0.7503 0.0330 0.6489
C 0.2473 0.9665 0.8523
C 0.7491 0.0400 0.1489
C 0.2444 0.9662 0.3502
P 0.2496 0.4069 0.1379
P 0.7498 0.5876 0.3605
P 0.2502 0.4073 0.6383
P 0.7508 0.5871 0.8611

## Properties
SG: P1
E (eV/atom): -6.844
Total magnetization (μB per formula unit): 5.001

[5]
This record from the Materials Project database describes crystalline Li2V2F7 at its relaxed geometry. The functional is PBE+U.

a b c (Å): 5.4671 6.9077 8.5725
angles (deg): 70.62 75.83 85.21
Positions (direct):
Li 0.6666 0.2365 0.1039
Li 0.3334 0.7635 0.8961
Li 0.8668 0.9794 0.7457
Li 0.1332 0.0206 0.2543
F 0.9297 0.7843 0.6268
F 0.9094 0.3863 0.8911
F 0.4600 0.5697 0.7739
F 0.3660 0.1794 0.0582
F 0.3192 0.7568 0.2962
F 0.8376 0.9927 0.1864
F 0.1624 0.0073 0.8136
F 0.1837 0.4231 0.5766
F 0.6340 0.8206 0.9418
F 0.6808 0.2432 0.7038
F 0.5400 0.4303 0.2261
F 0.0906 0.6137 0.1089
F 0.8163 0.5769 0.4234
F 0.0703 0.2157 0.3732
V 0.2938 0.2744 0.8211
V 0.1804 0.4838 0.3278
V 0.7062 0.7256 0.1789
V 0.8196 0.5162 0.6722

## Properties
SG: P-1
E (eV/atom): -5.719
Total magnetization (μB per formula unit): 5.000

[6]
This record from the Materials Project database describes crystalline Li7Co5O12 at its relaxed geometry. The functional is PBE+U.

a b c (Å): 2.8694 8.2468 9.6962
angles (deg): 114.68 90.87 89.72
Positions (direct):
O 0.5215 0.0796 0.1605
O 0.5058 0.2604 0.5210
O 0.4785 0.9204 0.8395
O 0.9868 0.8970 0.3257
O 0.4942 0.7396 0.4790
O 0.0132 0.1030 0.6743
O 0.9950 0.4390 0.3323
O 0.5042 0.4030 0.8121
O 0.0259 0.7583 0.0130
O 0.9741 0.2417 0.9870
O 0.0050 0.5610 0.6677
O 0.4958 0.5970 0.1879
Li 0.9984 0.8132 0.6608
Li 0.0000 0.5000 0.0000
Li 0.5000 0.5000 0.5000
Li 0.4899 0.3395 0.1737
Li 0.0016 0.1868 0.3392
Li 0.5101 0.6605 0.8263
Li 0.5000 0.0000 0.5000
Co 0.0013 0.6588 0.3368
Co 0.5042 0.8363 0.1706
Co 0.4958 0.1637 0.8294
Co 0.0000 0.0000 0.0000
Co 0.9987 0.3412 0.6632

## Properties
SG: P-1
E (eV/atom): -5.534
Total magnetization (μB per formula unit): 2.000